No. 1
A plane-wave DFT calculation with GGA-PBE was carried out for an optimized crystal structure of AsS2NF10.

Results
Calculated volume   1881.6 Å³/cell

Structure (POSCAR):
```
AsS2NF10
1.0
-4.163 7.330 5.536
2.259 -6.452 10.242
13.517 6.728 1.257
As S N F
8 16 8 80
direct
0.235 0.113 0.917
0.265 0.613 0.917
0.765 0.613 0.583
0.265 0.887 0.417
0.235 0.387 0.417
0.735 0.113 0.583
0.765 0.887 0.083
0.735 0.387 0.083
0.986 0.835 0.835
0.014 0.335 0.665
0.641 0.344 0.403
0.014 0.165 0.165
0.859 0.656 0.903
0.359 0.656 0.597
0.359 0.844 0.097
0.486 0.835 0.665
0.986 0.665 0.335
0.141 0.344 0.097
0.641 0.156 0.903
0.859 0.844 0.403
0.486 0.665 0.165
0.141 0.156 0.597
0.514 0.165 0.335
0.514 0.335 0.835
0.898 0.731 0.823
0.398 0.731 0.677
0.102 0.231 0.677
0.102 0.269 0.177
0.602 0.269 0.323
0.602 0.231 0.823
0.898 0.769 0.323
0.398 0.769 0.177
0.204 0.650 0.611
0.303 0.100 0.811
0.303 0.400 0.311
0.303 0.513 0.449
0.803 0.987 0.551
0.329 0.871 0.528
0.889 0.959 0.360
0.920 0.177 0.248
0.296 0.350 0.111
0.893 0.923 0.790
0.580 0.677 0.248
0.884 0.179 0.547
0.168 0.259 0.391
0.913 0.952 0.115
0.884 0.321 0.047
0.197 0.900 0.311
0.107 0.423 0.710
0.303 0.987 0.949
0.420 0.177 0.252
0.607 0.077 0.290
0.671 0.371 0.972
0.197 0.487 0.949
0.080 0.677 0.252
0.616 0.821 0.047
0.803 0.100 0.689
0.893 0.577 0.290
0.107 0.077 0.210
0.587 0.048 0.615
0.204 0.850 0.111
0.329 0.629 0.028
0.197 0.013 0.449
0.332 0.741 0.891
0.697 0.900 0.189
0.668 0.259 0.109
0.393 0.923 0.710
0.111 0.041 0.640
0.384 0.179 0.953
0.697 0.013 0.051
0.197 0.600 0.811
0.413 0.548 0.885
0.393 0.577 0.210
0.087 0.048 0.885
0.920 0.323 0.748
0.796 0.350 0.389
0.296 0.150 0.611
0.389 0.541 0.640
0.668 0.241 0.609
0.171 0.371 0.528
0.913 0.548 0.615
0.332 0.759 0.391
0.607 0.423 0.790
0.420 0.323 0.752
0.697 0.487 0.551
0.413 0.952 0.385
0.611 0.041 0.860
0.704 0.850 0.389
0.611 0.459 0.360
0.803 0.513 0.051
0.384 0.321 0.453
0.832 0.759 0.109
0.587 0.452 0.115
0.580 0.823 0.748
0.671 0.129 0.472
0.803 0.400 0.189
0.389 0.959 0.140
0.829 0.871 0.972
0.697 0.600 0.689
0.111 0.459 0.140
0.704 0.650 0.889
0.087 0.452 0.385
0.080 0.823 0.752
0.832 0.741 0.609
0.168 0.241 0.891
0.616 0.679 0.547
0.171 0.129 0.028
0.116 0.821 0.453
0.829 0.629 0.472
0.796 0.150 0.889
0.116 0.679 0.953
0.889 0.541 0.860
```

No. 2
A plane-wave DFT calculation with GGA-PBE was carried out for an optimized crystal structure of AsS4N4F5.

Results
Calculated volume   493.9 Å³/cell

Structure (POSCAR):
```
AsS4N4F5
1.0
-1.073 -10.997 2.811
5.548 -0.894 -1.379
4.520 1.197 6.408
As S N F
2 8 8 10
direct
0.750 0.153 0.852
0.250 0.847 0.148
0.880 0.827 0.395
0.873 0.340 0.147
0.373 0.660 0.853
0.120 0.173 0.605
0.127 0.660 0.853
0.380 0.173 0.605
0.627 0.340 0.147
0.620 0.827 0.395
0.082 0.902 0.704
0.250 0.255 0.626
0.750 0.287 0.051
0.250 0.713 0.949
0.750 0.745 0.374
0.418 0.902 0.704
0.918 0.098 0.296
0.582 0.098 0.296
0.250 0.957 0.331
0.750 0.043 0.669
0.362 0.632 0.252
0.138 0.632 0.252
0.140 0.063 0.038
0.860 0.937 0.962
0.360 0.063 0.038
0.862 0.368 0.748
0.638 0.368 0.748
0.640 0.937 0.962
```

No. 3
A plane-wave DFT calculation with GGA-PBE was carried out for an optimized crystal structure of AsS4N4F5.

Results
Calculated volume   1011.7 Å³/cell

Structure (POSCAR):
```
AsS4N4F5
1.0
10.661 0.000 0.000
0.000 7.943 0.000
0.000 4.566 11.947
As S N F
4 16 16 20
direct
0.184 0.632 0.786
0.816 0.368 0.214
0.316 0.632 0.286
0.684 0.368 0.714
0.851 0.966 0.607
0.454 0.700 0.875
0.424 0.829 0.643
0.326 0.178 0.644
0.826 0.822 0.856
0.149 0.034 0.393
0.954 0.300 0.625
0.076 0.829 0.143
0.046 0.700 0.375
0.674 0.822 0.356
0.174 0.178 0.144
0.924 0.171 0.857
0.351 0.034 0.893
0.649 0.966 0.107
0.546 0.300 0.125
0.576 0.171 0.357
0.359 0.720 0.768
0.108 0.039 0.102
0.392 0.039 0.602
0.608 0.961 0.398
0.571 0.144 0.077
0.929 0.144 0.577
0.641 0.280 0.232
0.859 0.280 0.732
0.071 0.856 0.423
0.210 0.119 0.273
0.141 0.720 0.268
0.429 0.856 0.923
0.892 0.961 0.898
0.710 0.881 0.227
0.290 0.119 0.773
0.790 0.881 0.727
0.237 0.423 0.885
0.527 0.446 0.698
0.793 0.445 0.326
0.263 0.423 0.385
0.207 0.555 0.674
0.366 0.846 0.188
0.836 0.285 0.102
0.634 0.154 0.812
0.866 0.154 0.312
0.293 0.555 0.174
0.473 0.554 0.302
0.164 0.715 0.898
0.134 0.846 0.688
0.336 0.715 0.398
0.027 0.554 0.802
0.973 0.446 0.198
0.763 0.577 0.115
0.664 0.285 0.602
0.707 0.445 0.826
0.737 0.577 0.615
```

No. 4
A plane-wave DFT calculation with GGA-PBE was carried out for an optimized crystal structure of AsS6N5F6.

Results
Calculated volume   2754.2 Å³/cell

Structure (POSCAR):
```
AsS6N5F6
1.0
5.862 -3.572 10.672
11.299 2.640 -5.134
1.125 15.894 6.634
As S N F
8 48 40 48
direct
0.756 0.081 0.941
0.578 0.764 0.435
0.244 0.919 0.059
0.236 0.422 0.065
0.764 0.578 0.935
0.919 0.244 0.559
0.081 0.756 0.441
0.422 0.236 0.565
0.310 0.468 0.721
0.787 0.463 0.715
0.660 0.943 0.612
0.943 0.660 0.112
0.157 0.194 0.905
0.691 0.153 0.397
0.153 0.691 0.897
0.943 0.158 0.108
0.194 0.157 0.405
0.057 0.842 0.892
0.532 0.690 0.779
0.340 0.470 0.400
0.340 0.057 0.388
0.470 0.340 0.900
0.468 0.310 0.221
0.473 0.836 0.883
0.836 0.473 0.383
0.527 0.164 0.117
0.281 0.975 0.726
0.213 0.537 0.285
0.164 0.527 0.617
0.627 0.809 0.095
0.530 0.660 0.100
0.970 0.802 0.219
0.057 0.340 0.888
0.843 0.806 0.095
0.631 0.310 0.100
0.806 0.843 0.595
0.463 0.787 0.215
0.025 0.719 0.774
0.191 0.373 0.405
0.198 0.030 0.281
0.690 0.369 0.400
0.373 0.191 0.905
0.690 0.532 0.279
0.802 0.970 0.719
0.537 0.213 0.785
0.030 0.198 0.781
0.719 0.025 0.274
0.975 0.281 0.226
0.369 0.690 0.900
0.809 0.627 0.595
0.842 0.057 0.392
0.310 0.631 0.600
0.660 0.530 0.600
0.158 0.943 0.608
0.847 0.309 0.103
0.309 0.847 0.603
0.234 0.271 0.359
0.732 0.268 0.147
0.689 0.990 0.691
0.098 0.132 0.843
0.268 0.732 0.853
0.642 0.091 0.330
0.678 0.458 0.679
0.139 0.455 0.340
0.732 0.268 0.353
0.009 0.827 0.811
0.909 0.358 0.170
0.729 0.766 0.141
0.447 0.627 0.840
0.010 0.311 0.809
0.091 0.642 0.830
0.902 0.868 0.157
0.868 0.902 0.657
0.542 0.804 0.806
0.358 0.909 0.670
0.458 0.678 0.179
0.990 0.689 0.191
0.373 0.553 0.660
0.827 0.009 0.311
0.861 0.545 0.660
0.458 0.196 0.194
0.627 0.447 0.340
0.991 0.173 0.189
0.553 0.373 0.160
0.542 0.322 0.821
0.804 0.542 0.306
0.545 0.861 0.160
0.173 0.991 0.689
0.455 0.139 0.840
0.322 0.542 0.321
0.766 0.729 0.641
0.196 0.458 0.694
0.271 0.234 0.859
0.132 0.098 0.343
0.311 0.010 0.309
0.268 0.732 0.647
0.015 0.332 0.583
0.744 0.026 0.041
0.132 0.340 0.042
0.003 0.134 0.580
0.256 0.974 0.959
0.844 0.179 0.966
0.353 0.833 0.036
0.366 0.220 0.663
0.856 0.478 0.914
0.179 0.844 0.466
0.668 0.985 0.917
0.329 0.319 0.042
0.747 0.526 0.035
0.478 0.856 0.414
0.647 0.167 0.964
0.332 0.015 0.083
0.522 0.144 0.586
0.501 0.341 0.586
0.861 0.232 0.657
0.660 0.868 0.458
0.220 0.366 0.163
0.139 0.768 0.343
0.144 0.522 0.086
0.833 0.353 0.536
0.340 0.132 0.542
0.232 0.861 0.157
0.134 0.003 0.080
0.681 0.671 0.458
0.526 0.747 0.535
0.997 0.866 0.420
0.319 0.329 0.542
0.026 0.744 0.541
0.474 0.253 0.465
0.985 0.668 0.417
0.821 0.156 0.534
0.868 0.660 0.958
0.659 0.499 0.914
0.253 0.474 0.965
0.341 0.501 0.086
0.780 0.634 0.837
0.866 0.997 0.920
0.634 0.780 0.337
0.499 0.659 0.414
0.167 0.647 0.464
0.156 0.821 0.034
0.671 0.681 0.958
0.974 0.256 0.459
0.768 0.139 0.843
```

No. 5
A plane-wave DFT calculation with GGA-PBE was carried out for an optimized crystal structure of AsSe2SN2F6.

Results
Calculated volume   1760.4 Å³/cell

Structure (POSCAR):
```
AsSe2SN2F6
1.0
-5.480 13.941 -7.141
-3.489 -5.385 -7.835
-12.177 -5.710 -1.801
As Se S N F
8 16 8 16 48
direct
0.155 0.888 0.365
0.345 0.888 0.865
0.561 0.429 0.304
0.439 0.571 0.696
0.061 0.571 0.196
0.939 0.429 0.804
0.655 0.112 0.135
0.845 0.112 0.635
0.806 0.663 0.960
0.204 0.169 0.969
0.796 0.831 0.031
0.119 0.279 0.604
0.296 0.169 0.469
0.704 0.831 0.531
0.694 0.663 0.460
0.881 0.721 0.396
0.888 0.884 0.472
0.381 0.279 0.104
0.388 0.116 0.028
0.612 0.884 0.972
0.306 0.337 0.540
0.194 0.337 0.040
0.112 0.116 0.528
0.619 0.721 0.896
0.102 0.910 0.805
0.812 0.463 0.237
0.898 0.090 0.195
0.312 0.537 0.263
0.602 0.090 0.695
0.188 0.537 0.763
0.398 0.910 0.305
0.688 0.463 0.737
0.601 0.083 0.814
0.696 0.646 0.696
0.390 0.091 0.268
0.399 0.917 0.186
0.899 0.083 0.314
0.315 0.534 0.380
0.890 0.909 0.232
0.804 0.646 0.196
0.185 0.534 0.880
0.610 0.909 0.732
0.110 0.091 0.768
0.101 0.917 0.686
0.304 0.354 0.304
0.196 0.354 0.804
0.685 0.466 0.620
0.815 0.466 0.120
0.984 0.627 0.741
0.929 0.031 0.740
0.131 0.454 0.331
0.016 0.373 0.259
0.571 0.031 0.240
0.869 0.546 0.669
0.495 0.410 0.212
0.639 0.319 0.085
0.631 0.546 0.169
0.110 0.763 0.137
0.610 0.237 0.363
0.130 0.544 0.110
0.760 0.186 0.535
0.174 0.098 0.313
0.995 0.590 0.288
0.718 0.058 0.265
0.890 0.237 0.863
0.484 0.373 0.759
0.326 0.098 0.813
0.516 0.627 0.241
0.993 0.681 0.066
0.218 0.942 0.235
0.390 0.763 0.637
0.493 0.319 0.434
0.260 0.814 0.965
0.861 0.319 0.585
0.139 0.681 0.415
0.005 0.410 0.712
0.407 0.845 0.988
0.907 0.155 0.512
0.782 0.058 0.765
0.093 0.845 0.488
0.826 0.902 0.687
0.870 0.456 0.890
0.282 0.942 0.735
0.071 0.969 0.260
0.007 0.319 0.934
0.674 0.902 0.187
0.429 0.969 0.760
0.370 0.544 0.610
0.361 0.681 0.915
0.740 0.186 0.035
0.630 0.456 0.390
0.505 0.590 0.788
0.593 0.155 0.012
0.369 0.454 0.831
0.240 0.814 0.465
0.507 0.681 0.566
```

Calculated formation energy: -2576 -1071 -1071 -1229 -1531 (kJ/mol of formula units)
Theoretical density: 2.42 2.38 2.33 2.18 3.07 (g/cm3)